## A
Material: Mg2SiO4
Method: DFT, PBE-GGA
State: optimized geometry

Structure (POSCAR):
```
Mg2SiO4
1.0
-3.5211 3.5211 3.3157
3.5211 -3.5211 3.3157
3.5211 3.5211 -3.3157
Mg Si O
4 2 8
Direct
0.0334 0.6250 0.9084
0.3750 0.2834 0.4084
0.7166 0.1250 0.0916
0.8750 0.9666 0.5916
0.2500 0.7500 0.5000
0.5000 0.5000 0.0000
0.1010 0.8031 0.6852
0.1178 0.4157 0.3148
0.1657 0.3678 0.8148
0.1969 0.8822 0.2979
0.5531 0.3510 0.1852
0.5843 0.8990 0.7021
0.6322 0.4469 0.7979
0.6490 0.8343 0.2021
```

space-group type = I-42d (122)
volume = 11.745 Å³/atom

## B
Material: Mg2SiO4
Method: DFT, PBE-GGA
State: optimized geometry

Structure (POSCAR):
```
Mg2SiO4
1.0
-2.9262 5.7968 4.4762
2.9262 -5.7968 4.4762
2.9262 5.7968 -4.4762
Mg Si O
8 4 16
Direct
0.0000 0.0000 0.0000
0.3056 0.5556 0.7500
0.3680 0.0000 0.8680
0.3680 0.5000 0.3680
0.5000 0.0000 0.5000
0.6320 0.0000 0.1320
0.6320 0.5000 0.6320
0.6944 0.4444 0.2500
0.0161 0.6261 0.3900
0.2639 0.3739 0.8900
0.7361 0.6261 0.1100
0.9839 0.3739 0.6100
0.0607 0.3107 0.7500
0.1116 0.2794 0.3982
0.1116 0.7134 0.8322
0.2353 0.2445 0.9908
0.2463 0.7555 0.4908
0.3813 0.2794 0.6678
0.3813 0.7134 0.1018
0.4859 0.2359 0.2500
0.5141 0.7641 0.7500
0.6187 0.2866 0.8982
0.6187 0.7206 0.3322
0.7537 0.2445 0.5092
0.7647 0.7555 0.0092
0.8884 0.2866 0.1678
0.8884 0.7206 0.6018
0.9393 0.6893 0.2500
```

space-group type = Imma (74)
volume = 10.847 Å³/atom

## C
Material: Mg2SiO4
Method: DFT, PBE-GGA
State: optimized geometry

Structure (POSCAR):
```
Mg2SiO4
1.0
-1.7499 1.7499 5.3668
1.7499 -1.7499 5.3668
1.7499 1.7499 -5.3668
Mg Si O
2 1 4
Direct
0.1501 0.1501 0.0000
0.8499 0.8499 0.0000
0.5000 0.5000 0.0000
0.0000 0.5000 0.5000
0.3330 0.3330 0.0000
0.5000 0.0000 0.5000
0.6670 0.6670 0.0000
```

space-group type = I4/mmm (139)
volume = 9.391 Å³/atom

Energies relative to the most stable structure are A 0.0; B 28.7; C 32.3, reported in kJ/mol of atoms.

## A
Material: Mg2SiO4
Method: DFT, PBE-GGA
State: optimized geometry

Structure (POSCAR):
```
Mg2SiO4
1.0
5.1091 0.0000 0.0000
-1.7620 5.5099 0.0000
-1.6015 -0.8919 9.8640
Mg Si O
8 4 16
Direct
0.0000 0.0000 0.0000
0.0000 0.5000 0.0000
0.0447 0.2997 0.2776
0.4782 0.8261 0.5916
0.4993 0.1151 0.8559
0.5007 0.8849 0.1441
0.5218 0.1739 0.4084
0.9553 0.7003 0.7224
0.1164 0.2470 0.6062
0.4915 0.6043 0.8712
0.5085 0.3957 0.1288
0.8836 0.7530 0.3938
0.2231 0.8312 0.4189
0.2300 0.0381 0.6845
0.2403 0.3172 0.4678
0.2517 0.5233 0.7087
0.2663 0.7869 0.9296
0.2873 0.5488 0.1725
0.2903 0.3289 0.9500
0.2948 0.1239 0.1789
0.7052 0.8761 0.8211
0.7097 0.6711 0.0500
0.7127 0.4512 0.8275
0.7337 0.2131 0.0704
0.7483 0.4767 0.2913
0.7597 0.6828 0.5322
0.7700 0.9619 0.3155
0.7769 0.1688 0.5811
```

space-group type = P-1 (2)
volume = 9.917 Å³/atom

## B
Material: Mg2SiO4
Method: DFT, PBE-GGA
State: optimized geometry

Structure (POSCAR):
```
Mg2SiO4
1.0
6.0145 0.0000 0.0000
-3.0073 5.2087 0.0000
0.0000 0.0000 4.8289
Mg Si O
4 2 8
Direct
0.0000 0.0000 0.0000
0.0000 0.5000 0.5000
0.5000 0.0000 0.5000
0.5000 0.5000 0.5000
0.3333 0.6667 0.9268
0.6667 0.3333 0.0732
0.1887 0.3774 0.7768
0.1887 0.8113 0.7768
0.3333 0.6667 0.2647
0.3774 0.1887 0.2232
0.6226 0.8113 0.7768
0.6667 0.3333 0.7353
0.8113 0.1887 0.2232
0.8113 0.6226 0.2232
```

space-group type = P-3m1 (164)
volume = 10.806 Å³/atom

Energies relative to the most stable structure are A 6.8; B 0.0, reported in kJ/mol of atoms.

## A
Material: Mg2SiO4
Method: DFT, PBE-GGA
State: optimized geometry

Structure (POSCAR):
```
Mg2SiO4
1.0
5.0453 0.0000 0.0000
0.0000 8.8834 0.0000
0.0000 0.0000 2.8411
Mg Si O
4 2 8
Direct
0.0644 0.1838 0.0000
0.4356 0.6838 0.0000
0.5644 0.3162 0.0000
0.9356 0.8162 0.0000
0.0000 0.5000 0.5000
0.5000 0.0000 0.5000
0.1381 0.6829 0.5000
0.2252 0.4501 0.0000
0.2748 0.9501 0.0000
0.3619 0.1829 0.5000
0.6381 0.8171 0.5000
0.7252 0.0499 0.0000
0.7748 0.5499 0.0000
0.8619 0.3171 0.5000
```

space-group type = Pbam (55)
volume = 9.095 Å³/atom

## B
Material: Mg2SiO4
Method: DFT, PBE-GGA
State: optimized geometry

Structure (POSCAR):
```
Mg2SiO4
1.0
-2.8611 2.9266 4.1554
2.8611 -2.9266 4.1554
2.8611 2.9266 -4.1554
Mg Si O
4 2 8
Direct
0.0000 0.0000 0.0000
0.3595 0.6095 0.7500
0.5000 0.0000 0.5000
0.6405 0.3905 0.2500
0.0000 0.0000 0.5000
0.0000 0.5000 0.0000
0.2103 0.1992 0.4889
0.2103 0.7215 0.0111
0.2131 0.7490 0.4641
0.2152 0.2510 0.9641
0.7848 0.7490 0.0359
0.7869 0.2510 0.5359
0.7897 0.2785 0.9889
0.7897 0.8008 0.5111
```

space-group type = Imma (74)
volume = 9.941 Å³/atom

## C
Material: Mg2SiO4
Method: DFT, PBE-GGA
State: optimized geometry

Structure (POSCAR):
```
Mg2SiO4
1.0
6.1487 0.0000 0.0000
-3.0743 5.3249 0.0000
0.0000 0.0000 4.7623
Mg Si O
4 2 8
Direct
0.0000 0.0000 0.0000
0.0000 0.5000 0.0000
0.5000 0.0000 0.0000
0.5000 0.5000 0.0000
0.3333 0.6667 0.6003
0.6667 0.3333 0.3997
0.1916 0.3832 0.7583
0.1916 0.8084 0.7583
0.3333 0.6667 0.2613
0.3832 0.1916 0.2417
0.6168 0.8084 0.7583
0.6667 0.3333 0.7387
0.8084 0.1916 0.2417
0.8084 0.6168 0.2417
```

space-group type = P-3m1 (164)
volume = 11.137 Å³/atom

Energies relative to the most stable structure are A 1.9; B 0.0; C 6.7, reported in kJ/mol of atoms.

## A
Material: Mg3Si2O9
Method: DFT, PBE-GGA
State: optimized geometry

Structure (POSCAR):
```
Mg3Si2O9
1.0
5.4148 0.0000 0.0000
-2.7074 4.6894 0.0000
0.0000 0.0000 7.4106
Mg Si O
3 2 9
Direct
0.0000 0.3559 0.0000
0.3559 0.0000 0.0000
0.6441 0.6441 0.0000
0.3333 0.6667 0.6181
0.6667 0.3333 0.6181
0.0000 0.0000 0.8948
0.0000 0.4992 0.5475
0.0000 0.6941 0.1225
0.3059 0.3059 0.1225
0.3333 0.6667 0.8410
0.4992 0.0000 0.5475
0.5008 0.5008 0.5475
0.6667 0.3333 0.8410
0.6941 0.0000 0.1225
```

space-group type = P31m (157)
volume = 13.441 Å³/atom

## B
Material: Mg3Si2O9
Method: DFT, PBE-GGA
State: optimized geometry

Structure (POSCAR):
```
Mg3Si2O9
1.0
2.6613 -4.8904 0.0000
2.6613 4.8904 0.0000
-0.3586 0.0000 15.1877
Mg Si O
3 2 9
Direct
0.0000 0.0000 0.0000
0.3250 0.7127 0.9920
0.7127 0.3250 0.9920
0.0157 0.6895 0.8047
0.6895 0.0157 0.8047
0.0195 0.6970 0.9132
0.0354 0.3484 0.0497
0.3484 0.0354 0.0497
0.3505 0.8505 0.7712
0.4420 0.4420 0.9557
0.6135 0.6135 0.0307
0.6970 0.0195 0.9132
0.8505 0.3505 0.7712
0.8528 0.8528 0.7710
```

space-group type = Cm (8)
volume = 28.238 Å³/atom

## C
Material: Mg3Si2O9
Method: DFT, PBE-GGA
State: optimized geometry

Structure (POSCAR):
```
Mg3Si2O9
1.0
2.7935 -4.6021 0.0000
2.7935 4.6021 0.0000
-1.7531 0.0000 28.6799
Mg Si O
12 8 36
Direct
0.0000 0.5000 0.5000
0.0833 0.9167 0.7500
0.1476 0.3231 0.0000
0.2488 0.7512 0.2500
0.3231 0.1476 0.5000
0.4153 0.5847 0.7500
0.5000 0.0000 0.0000
0.5847 0.4153 0.2500
0.6769 0.8524 0.5000
0.7512 0.2488 0.7500
0.8524 0.6769 0.0000
0.9167 0.0833 0.2500
0.0258 0.1981 0.5965
0.1391 0.6355 0.9035
0.1981 0.0258 0.0965
0.3645 0.8609 0.5965
0.6355 0.1391 0.4035
0.8019 0.9742 0.9035
0.8609 0.3645 0.0965
0.9742 0.8019 0.4035
0.0036 0.1769 0.5391
0.0339 0.7008 0.1144
0.0371 0.2024 0.1156
0.0497 0.5506 0.7190
0.1170 0.2828 0.7810
0.1540 0.6578 0.9608
0.1769 0.0036 0.0391
0.2010 0.5350 0.6141
0.2024 0.0371 0.6156
0.2182 0.3847 0.2197
0.2828 0.1170 0.2810
0.2992 0.9661 0.3856
0.3422 0.8460 0.5392
0.3457 0.4966 0.4712
0.3847 0.2182 0.7197
0.4494 0.9503 0.7810
0.4650 0.7990 0.8859
0.4966 0.3457 0.9712
0.5034 0.6543 0.0288
0.5350 0.2010 0.1141
0.5506 0.0497 0.2190
0.6153 0.7818 0.2803
0.6543 0.5034 0.5288
0.6578 0.1540 0.4608
0.7008 0.0339 0.6144
0.7172 0.8830 0.7190
0.7818 0.6153 0.7803
0.7976 0.9629 0.3844
0.7990 0.4650 0.3859
0.8231 0.9964 0.9609
0.8460 0.3422 0.0392
0.8830 0.7172 0.2190
0.9503 0.4494 0.2810
0.9629 0.7976 0.8844
0.9661 0.2992 0.8856
0.9964 0.8231 0.4609
```

space-group type = C2/c (15)
volume = 13.168 Å³/atom

Energies relative to the most stable structure are A 1.2; B 27.1; C 0.0, reported in kJ/mol of atoms.

## A
Material: Mg3Si4O12
Method: DFT, PBE-GGA
State: optimized geometry

Structure (POSCAR):
```
Mg3Si4O12
1.0
2.6928 -4.6336 0.0000
2.6928 4.6336 0.0000
-1.5142 0.0000 28.8280
Mg Si O
6 8 24
Direct
0.0049 0.9951 0.5000
0.2979 0.6410 0.4998
0.3165 0.6512 0.9999
0.6410 0.2979 0.9998
0.6512 0.3165 0.4999
0.9951 0.0049 0.0000
0.0141 0.3475 0.0964
0.0138 0.3482 0.5964
0.2881 0.2889 0.9035
0.2889 0.2881 0.4035
0.3482 0.0138 0.0964
0.3475 0.0141 0.5964
0.6221 0.9548 0.9035
0.9548 0.6221 0.4035
0.0001 0.3296 0.0392
0.1147 0.9498 0.3849
0.1177 0.4509 0.3848
0.1853 0.1848 0.1153
0.1848 0.1853 0.6153
0.1870 0.6859 0.1150
0.1878 0.6865 0.6151
0.3011 0.3055 0.9607
0.3055 0.3011 0.4607
0.3296 0.0001 0.5392
0.3347 0.9975 0.0393
0.4494 0.6166 0.8849
0.4509 0.1177 0.8848
0.6166 0.4494 0.3849
0.6353 0.9727 0.9608
0.6421 0.9591 0.4700
0.6606 0.6758 0.5292
0.6758 0.6606 0.0292
0.6859 0.1870 0.6150
0.6865 0.1878 0.1151
0.9498 0.1147 0.8849
0.9591 0.6421 0.9700
0.9727 0.6353 0.4608
0.9975 0.3347 0.5393
```

space-group type = Cc (9)
volume = 18.932 Å³/atom

## B
Material: Mg3Si4O12
Method: DFT, PBE-GGA
State: optimized geometry

Structure (POSCAR):
```
Mg3Si4O12
1.0
5.3304 0.0000 0.0000
2.6569 4.6808 0.0000
0.6982 1.2514 9.5784
Mg Si O
3 4 12
Direct
0.0000 0.0000 0.0000
0.3224 0.3551 0.9999
0.6776 0.6449 0.0001
0.0045 0.7454 0.7089
0.3274 0.5899 0.2911
0.6726 0.4101 0.7089
0.9955 0.2546 0.2911
0.0069 0.6976 0.8812
0.1453 0.9076 0.3459
0.1769 0.3920 0.3478
0.3267 0.6347 0.1188
0.3381 0.5778 0.6526
0.3526 0.0228 0.9130
0.6474 0.9772 0.0870
0.6619 0.4222 0.3474
0.6733 0.3653 0.8812
0.8231 0.6080 0.6522
0.8547 0.0924 0.6541
0.9931 0.3024 0.1188
```

space-group type = P-1 (2)
volume = 12.578 Å³/atom

Energies relative to the most stable structure are A 0.0; B 1.2, reported in kJ/mol of atoms.